First-principles (PBE) data for a relaxed Mg crystal, as listed in the Materials Project.

Properties
energy of formation from the pure elements	0.00	eV per formula unit
raw total energy	-1.597	eV per atom
volume	22.7	Å³/f.u.
offset from the most stable computed form	0.003	eV per formula unit

Cell: 7.864 7.864 7.864 Å, 23.56 23.56 23.56°
Positions (direct):
Mg  0.000  0.000  0.000
Mg  0.222  0.222  0.222
Mg  0.778  0.778  0.778


First-principles (PBE) data for a relaxed NdRh3C crystal, as listed in the Materials Project.

Properties
energy of formation from the pure elements	-1.93	eV per formula unit
raw total energy	-7.604	eV per atom
volume	76.2	Å³/f.u.

Cell: 4.239 4.239 4.239 Å, 90.00 90.00 90.00°
Positions (direct):
Nd  0.000  0.000  0.000
Rh  0.000  0.500  0.500
Rh  0.500  0.000  0.500
Rh  0.500  0.500  0.000
C  0.500  0.500  0.500


First-principles (PBE) data for a relaxed OsC4ClO4 crystal, as listed in the Materials Project.

Properties
energy of formation from the pure elements	-9.75	eV per formula unit
raw total energy	-7.678	eV per atom
volume	189.3	Å³/f.u.

Cell: 9.482 9.942 16.063 Å, 90.00 90.00 90.00°
Positions (direct):
Os  0.027  0.025  0.362
Os  0.185  0.996  0.936
Os  0.315  0.004  0.436
Os  0.473  0.975  0.862
Os  0.527  0.475  0.638
Os  0.685  0.504  0.064
Os  0.815  0.496  0.564
Os  0.973  0.525  0.138
C  0.001  0.511  0.515
C  0.036  0.527  0.020
C  0.058  0.215  0.360
C  0.125  0.007  0.255
C  0.128  0.856  0.856
C  0.148  0.140  0.861
C  0.162  0.535  0.182
C  0.225  0.879  0.516
C  0.275  0.121  0.016
C  0.338  0.465  0.682
C  0.352  0.860  0.361
C  0.372  0.144  0.356
C  0.375  0.993  0.755
C  0.442  0.785  0.860
C  0.464  0.473  0.520
C  0.499  0.489  0.015
C  0.501  0.989  0.485
C  0.536  0.973  0.980
C  0.558  0.285  0.640
C  0.625  0.493  0.745
C  0.628  0.644  0.144
C  0.648  0.360  0.139
C  0.662  0.965  0.818
C  0.725  0.621  0.484
C  0.775  0.379  0.984
C  0.838  0.035  0.318
C  0.852  0.640  0.639
C  0.872  0.356  0.644
C  0.875  0.507  0.245
C  0.942  0.715  0.140
C  0.964  0.027  0.480
C  0.999  0.011  0.985
Cl  0.009  0.777  0.366
Cl  0.247  0.808  0.029
Cl  0.253  0.192  0.529
Cl  0.491  0.223  0.866
Cl  0.509  0.723  0.634
Cl  0.747  0.692  0.971
Cl  0.753  0.308  0.471
Cl  0.991  0.277  0.134
O  0.074  0.524  0.952
O  0.078  0.329  0.353
O  0.097  0.771  0.811
O  0.115  0.524  0.491
O  0.123  0.228  0.816
O  0.174  0.807  0.563
O  0.185  0.998  0.193
O  0.223  0.456  0.707
O  0.277  0.544  0.207
O  0.315  0.002  0.693
O  0.326  0.193  0.063
O  0.377  0.772  0.316
O  0.385  0.476  0.991
O  0.403  0.229  0.311
O  0.422  0.671  0.853
O  0.426  0.476  0.452
O  0.574  0.976  0.048
O  0.578  0.171  0.647
O  0.597  0.729  0.189
O  0.615  0.976  0.509
O  0.623  0.272  0.184
O  0.674  0.693  0.437
O  0.685  0.502  0.807
O  0.723  0.044  0.293
O  0.777  0.956  0.793
O  0.815  0.498  0.307
O  0.826  0.307  0.937
O  0.877  0.728  0.684
O  0.885  0.024  0.009
O  0.903  0.271  0.689
O  0.922  0.829  0.147
O  0.926  0.024  0.548


First-principles (PBE) data for a relaxed BaH2O2 crystal, as listed in the Materials Project.

Properties
energy of formation from the pure elements	-5.91	eV per formula unit
raw total energy	-4.627	eV per atom
volume	65.7	Å³/f.u.

Cell: 6.869 8.141 9.492 Å, 90.27 98.07 91.06°
Positions (direct):
Ba  0.000  0.000  0.000
Ba  0.054  0.280  0.468
Ba  0.215  0.802  0.548
Ba  0.303  0.503  0.002
Ba  0.498  0.218  0.495
Ba  0.571  0.909  0.975
Ba  0.722  0.394  0.038
Ba  0.806  0.707  0.501
H  0.021  0.462  0.125
H  0.026  0.503  0.807
H  0.224  0.511  0.415
H  0.274  0.122  0.638
H  0.275  0.007  0.220
H  0.280  0.971  0.900
H  0.423  0.201  0.986
H  0.464  0.538  0.646
H  0.514  0.810  0.452
H  0.529  0.575  0.308
H  0.714  0.671  0.851
H  0.757  0.117  0.301
H  0.774  0.309  0.572
H  0.776  0.069  0.711
H  0.910  0.001  0.480
H  0.946  0.682  0.135
O  0.014  0.671  0.257
O  0.016  0.348  0.069
O  0.074  0.548  0.701
O  0.224  0.060  0.320
O  0.276  0.857  0.950
O  0.283  0.168  0.771
O  0.323  0.485  0.405
O  0.492  0.225  0.105
O  0.515  0.887  0.564
O  0.524  0.517  0.772
O  0.573  0.645  0.220
O  0.729  0.147  0.788
O  0.769  0.361  0.443
O  0.800  0.016  0.258
O  0.804  0.727  0.901
O  0.975  0.986  0.608


What is the formula in the second record? NdRh3C


What is the volume in the first record? 22.7 Å³/f.u.